(1)
A plane-wave DFT calculation with PBE was carried out for a relaxed Nb2Se9 crystal.

```
data_Nb2Se9
_space_group_name_H-M_alt 'P -1'
_space_group_IT_number 2
_cell_length_a 8.525
_cell_length_b 8.771
_cell_length_c 8.841
_cell_angle_alpha 100.06
_cell_angle_beta 96.01
_cell_angle_gamma 94.29
loop_
_space_group_symop_operation_xyz
'x,y,z'
'-x,-y,-z'
loop_
_atom_site_label
_atom_site_type_symbol
_atom_site_fract_x
_atom_site_fract_y
_atom_site_fract_z
Nb1 Nb 0.086 0.138 0.102
Nb2 Nb 0.410 0.402 0.362
Se1 Se 0.041 0.604 0.789
Se2 Se 0.071 0.852 0.171
Se3 Se 0.113 0.291 0.405
Se4 Se 0.161 0.023 0.821
Se5 Se 0.235 0.419 0.093
Se6 Se 0.321 0.672 0.501
Se7 Se 0.397 0.105 0.192
Se8 Se 0.460 0.313 0.637
Se9 Se 0.479 0.684 0.906
```

Calculated values
As for the formation energy: -0.898 eV per atom.


(2)
A plane-wave DFT calculation with PBE was carried out for a relaxed Nb2Se3 crystal.

```
data_Nb2Se3
_space_group_name_H-M_alt 'P 3 m 1'
_space_group_IT_number 156
_cell_length_a 3.4537
_cell_length_b 3.4537
_cell_length_c 13.7063
_cell_angle_alpha 90.00
_cell_angle_beta 90.00
_cell_angle_gamma 120.00
loop_
_space_group_symop_operation_xyz
'x,y,z'
'-y,x-y,z'
'-x+y,-x,z'
'-y,-x,z'
'-x+y,y,z'
'x,x-y,z'
loop_
_atom_site_label
_atom_site_type_symbol
_atom_site_fract_x
_atom_site_fract_y
_atom_site_fract_z
Nb1 Nb 0.0000 0.0000 0.0000
Nb2 Nb 0.0000 0.0000 0.2563
Se1 Se 0.3333 0.6667 0.8767
Se2 Se 0.6667 0.3333 0.1324
Se3 Se 0.6667 0.3333 0.3806
```

Calculated values
As for the formation energy: -1.076 eV per atom.


(3)
A plane-wave DFT calculation with PBE was carried out for a relaxed Nb3Se4 crystal.

```
data_Nb3Se4
_space_group_name_H-M_alt 'P 63/m'
_space_group_IT_number 176
_space_group_name_Hall '-P 6c'
_cell_length_a 10.1738
_cell_length_b 10.1738
_cell_length_c 3.4832
_cell_angle_alpha 90.00
_cell_angle_beta 90.00
_cell_angle_gamma 120.00
loop_
_atom_site_label
_atom_site_type_symbol
_atom_site_fract_x
_atom_site_fract_y
_atom_site_fract_z
Nb1 Nb 0.1077 0.6203 0.2500
Se1 Se 0.0615 0.3422 0.2500
Se2 Se 0.3333 0.6667 0.7500
```

Calculated values
As for the formation energy: -1.134 eV per atom.


(4)
A plane-wave DFT calculation with PBE was carried out for a relaxed Nb2Se3 crystal.

```
data_Nb2Se3
_space_group_name_H-M_alt 'P 1 21/m 1'
_space_group_IT_number 11
_cell_length_a 6.637
_cell_length_b 3.467
_cell_length_c 9.311
_cell_angle_alpha 90.00
_cell_angle_beta 104.15
_cell_angle_gamma 90.00
loop_
_space_group_symop_operation_xyz
'x,y,z'
'-x,-y,-z'
'-x,y+1/2,-z'
'x,-y+1/2,z'
loop_
_atom_site_label
_atom_site_type_symbol
_atom_site_fract_x
_atom_site_fract_y
_atom_site_fract_z
Nb1 Nb 0.114 0.250 0.135
Nb2 Nb 0.319 0.250 0.502
Se1 Se 0.028 0.750 0.343
Se2 Se 0.271 0.750 0.987
Se3 Se 0.476 0.750 0.703
```

Calculated values
As for the formation energy: -1.124 eV per atom.


(5)
A plane-wave DFT calculation with PBE was carried out for a relaxed Nb2Se3 crystal.

```
data_Nb2Se3
_space_group_name_H-M_alt 'P 1 m 1'
_space_group_IT_number 6
_cell_length_a 7.161
_cell_length_b 3.349
_cell_length_c 9.165
_cell_angle_alpha 90.00
_cell_angle_beta 102.56
_cell_angle_gamma 90.00
loop_
_space_group_symop_operation_xyz
'x,y,z'
'x,-y,z'
loop_
_atom_site_label
_atom_site_type_symbol
_atom_site_fract_x
_atom_site_fract_y
_atom_site_fract_z
Nb1 Nb 0.000 0.000 0.000
Nb2 Nb 0.000 0.500 0.492
Nb3 Nb 0.324 0.500 0.838
Nb4 Nb 0.659 0.000 0.640
Se1 Se 0.000 0.000 0.271
Se2 Se 0.054 0.000 0.723
Se3 Se 0.372 0.000 0.059
Se4 Se 0.377 0.500 0.557
Se5 Se 0.655 0.500 0.393
Se6 Se 0.705 0.500 0.882
```

Calculated values
As for the formation energy: -0.863 eV per atom.


(6)
A plane-wave DFT calculation with PBE was carried out for a relaxed Nb3Se crystal.

```
data_Nb3Se
_space_group_name_H-M_alt 'P 63/m m c'
_space_group_IT_number 194
_space_group_name_Hall '-P 6c 2c'
_cell_length_a 5.7671
_cell_length_b 5.7671
_cell_length_c 4.9254
_cell_angle_alpha 90.00
_cell_angle_beta 90.00
_cell_angle_gamma 120.00
loop_
_atom_site_label
_atom_site_type_symbol
_atom_site_fract_x
_atom_site_fract_y
_atom_site_fract_z
Nb1 Nb 0.1605 0.3210 0.2500
Se1 Se 0.3333 0.6667 0.7500
```

Calculated values
As for the formation energy: -0.092 eV per atom.


(7)
A plane-wave DFT calculation with PBE was carried out for a relaxed Nb5SnSe8 crystal.

```
data_Nb5SnSe8
_space_group_name_H-M_alt 'C 1 2/m 1'
_space_group_IT_number 12
_cell_length_a 18.699
_cell_length_b 3.459
_cell_length_c 9.413
_cell_angle_alpha 90.00
_cell_angle_beta 103.27
_cell_angle_gamma 90.00
loop_
_space_group_symop_operation_xyz
'x,y,z'
'-x,-y,-z'
'-x,y,-z'
'x,-y,z'
'x+1/2,y+1/2,z'
'-x+1/2,-y+1/2,-z'
'-x+1/2,y+1/2,-z'
'x+1/2,-y+1/2,z'
loop_
_atom_site_label
_atom_site_type_symbol
_atom_site_fract_x
_atom_site_fract_y
_atom_site_fract_z
Nb1 Nb 0.000 0.000 0.000
Nb2 Nb 0.140 0.500 0.998
Nb3 Nb 0.213 0.500 0.370
Sn1 Sn 0.000 0.500 0.500
Se1 Se 0.070 0.500 0.200
Se2 Se 0.083 0.000 0.804
Se3 Se 0.150 0.000 0.508
Se4 Se 0.241 0.000 0.158
```

Calculated values
As for the formation energy: -0.996 eV per atom.


(8)
A plane-wave DFT calculation with PBE was carried out for a relaxed TiNb3Se6 crystal.

```
data_TiNb3Se6
_space_group_name_H-M_alt 'P 63 2 2'
_space_group_IT_number 182
_space_group_name_Hall 'P 6c 2c'
_cell_length_a 6.0538
_cell_length_b 6.0538
_cell_length_c 13.1258
_cell_angle_alpha 90.00
_cell_angle_beta 90.00
_cell_angle_gamma 120.00
loop_
_atom_site_label
_atom_site_type_symbol
_atom_site_fract_x
_atom_site_fract_y
_atom_site_fract_z
Ti1 Ti 0.3333 0.6667 0.2500
Nb1 Nb 0.0000 0.0000 0.0000
Nb2 Nb 0.3333 0.6667 0.0002
Se1 Se 0.0037 0.3332 0.8716
```

Calculated values
As for the formation energy: -1.260 eV per atom.


Copy entry 7 word for word.
A plane-wave DFT calculation with PBE was carried out for a relaxed Nb5SnSe8 crystal.

```
data_Nb5SnSe8
_space_group_name_H-M_alt 'C 1 2/m 1'
_space_group_IT_number 12
_cell_length_a 18.699
_cell_length_b 3.459
_cell_length_c 9.413
_cell_angle_alpha 90.00
_cell_angle_beta 103.27
_cell_angle_gamma 90.00
loop_
_space_group_symop_operation_xyz
'x,y,z'
'-x,-y,-z'
'-x,y,-z'
'x,-y,z'
'x+1/2,y+1/2,z'
'-x+1/2,-y+1/2,-z'
'-x+1/2,y+1/2,-z'
'x+1/2,-y+1/2,z'
loop_
_atom_site_label
_atom_site_type_symbol
_atom_site_fract_x
_atom_site_fract_y
_atom_site_fract_z
Nb1 Nb 0.000 0.000 0.000
Nb2 Nb 0.140 0.500 0.998
Nb3 Nb 0.213 0.500 0.370
Sn1 Sn 0.000 0.500 0.500
Se1 Se 0.070 0.500 0.200
Se2 Se 0.083 0.000 0.804
Se3 Se 0.150 0.000 0.508
Se4 Se 0.241 0.000 0.158
```

Calculated values
As for the formation energy: -0.996 eV per atom.